DyNbO4: relaxed, PBE.

Calculated values
For the electronic total energy, the calculation gives -53.15 eV/f.u. The value obtained for the formation energy is -3.57 eV/atom. Its space group is P2/c.

Cell lengths 5.1668, 5.5232, 5.3566 Å; angles 90.00, 96.02, 90.00 degrees
With the nearest neighbours (Å) after each atom.
Sites, in units of the cell vectors:
Dy 0.0000 0.2394 0.2500  8 O 2.32-2.52
Dy 0.0000 0.7606 0.7500  8 O 2.32-2.52
Nb 0.5000 0.2997 0.7500  4 O 1.89-2.00
Nb 0.5000 0.7003 0.2500  4 O 1.89-2.00
O 0.2495 0.0821 0.5970  1 Nb 1.89
O 0.2495 0.9179 0.0970  1 Nb 1.89
O 0.2654 0.4366 0.9900  1 Nb 2.00
O 0.2654 0.5634 0.4900  1 Nb 2.00
O 0.7346 0.4366 0.5100  1 Nb 2.00
O 0.7346 0.5634 0.0100  1 Nb 2.00
O 0.7505 0.0821 0.9030  1 Nb 1.89
O 0.7505 0.9179 0.4030  1 Nb 1.89